No. 1
This record from Materials Project describes a relaxed TmGe2Ru2 crystal. The functional is meta-GGA r2SCAN.

Uncorrected energy (eV/cell): -117.136
Calculated volume (Å³ per cell): 86.8
E_form (eV per atom): -0.684

```
data_TmGe2Ru2
_cell_length_a 4.2256
_cell_length_b 4.2256
_cell_length_c 5.7074
_cell_angle_alpha 111.73
_cell_angle_beta 111.73
_cell_angle_gamma 90.00
_symmetry_space_group_name_H-M 'P 1'
_symmetry_Int_Tables_number 1
loop_
_symmetry_equiv_pos_as_xyz
'x,y,z'
loop_
_atom_site_label
_atom_site_type_symbol
_atom_site_fract_x
_atom_site_fract_y
_atom_site_fract_z
Tm1 Tm 0.0000 0.0000 0.0000
Ge1 Ge 0.3702 0.3702 0.7404
Ge2 Ge 0.6298 0.6298 0.2596
Ru1 Ru 0.7500 0.2500 0.5000
Ru2 Ru 0.2500 0.7500 0.5000
```

---

No. 2
This record from Materials Project describes a relaxed Y2Ge2Ru crystal. The functional is meta-GGA r2SCAN.

Uncorrected energy (eV/cell): -196.410
Calculated volume (Å³ per cell): 206.6
E_form (eV per atom): -0.882

```
data_Y2Ge2Ru
_cell_length_a 5.7941
_cell_length_b 5.7941
_cell_length_c 10.1811
_cell_angle_alpha 63.78
_cell_angle_beta 63.78
_cell_angle_gamma 43.40
_symmetry_space_group_name_H-M 'P 1'
_symmetry_Int_Tables_number 1
loop_
_symmetry_equiv_pos_as_xyz
'x,y,z'
loop_
_atom_site_label
_atom_site_type_symbol
_atom_site_fract_x
_atom_site_fract_y
_atom_site_fract_z
Ru1 Ru 0.7291 0.7291 0.6278
Ru2 Ru 0.2709 0.2709 0.3722
Ge1 Ge 0.5110 0.5110 0.1244
Ge2 Ge 0.3533 0.3533 0.5649
Ge3 Ge 0.4890 0.4890 0.8756
Ge4 Ge 0.6467 0.6467 0.4351
Y1 Y 0.1840 0.1840 0.8886
Y2 Y 0.8160 0.8160 0.1114
Y3 Y 0.0000 0.0000 0.6724
Y4 Y 0.0000 0.0000 0.3276
```

---

No. 3
This record from Materials Project describes a relaxed YbGe2Ru2 crystal. The functional is meta-GGA r2SCAN.

Uncorrected energy (eV/cell): -118.514
Calculated volume (Å³ per cell): 86.5
E_form (eV per atom): -0.678

```
data_YbGe2Ru2
_cell_length_a 5.6912
_cell_length_b 5.6912
_cell_length_c 5.6912
_cell_angle_alpha 136.43
_cell_angle_beta 136.43
_cell_angle_gamma 63.32
_symmetry_space_group_name_H-M 'P 1'
_symmetry_Int_Tables_number 1
loop_
_symmetry_equiv_pos_as_xyz
'x,y,z'
loop_
_atom_site_label
_atom_site_type_symbol
_atom_site_fract_x
_atom_site_fract_y
_atom_site_fract_z
Ru1 Ru 0.7500 0.2500 0.5000
Ru2 Ru 0.2500 0.7500 0.5000
Ge1 Ge 0.3705 0.3705 0.0000
Ge2 Ge 0.6295 0.6295 0.0000
Yb1 Yb 0.0000 0.0000 0.0000
```

---

No. 4
This record from Materials Project describes a relaxed Sm4Ge3S12 crystal. The functional is meta-GGA r2SCAN.

Uncorrected energy (eV/cell): -568.963
Calculated volume (Å³ per cell): 850.5
E_form (eV per atom): -1.449

```
data_Sm4Ge3S12
_cell_length_a 11.4545
_cell_length_b 11.4545
_cell_length_c 11.4545
_cell_angle_alpha 114.88
_cell_angle_beta 114.88
_cell_angle_gamma 114.88
_symmetry_space_group_name_H-M 'P 1'
_symmetry_Int_Tables_number 1
loop_
_symmetry_equiv_pos_as_xyz
'x,y,z'
loop_
_atom_site_label
_atom_site_type_symbol
_atom_site_fract_x
_atom_site_fract_y
_atom_site_fract_z
Ge1 Ge 0.6453 0.4707 0.8564
Ge2 Ge 0.4707 0.8564 0.6453
Ge3 Ge 0.1453 0.3564 0.9707
Ge4 Ge 0.9707 0.1453 0.3564
Ge5 Ge 0.8564 0.6453 0.4707
Ge6 Ge 0.3564 0.9707 0.1453
S1 S 0.1855 0.1811 0.3680
S2 S 0.3557 0.6331 0.0892
S3 S 0.7798 0.3857 0.3102
S4 S 0.3857 0.3102 0.7798
S5 S 0.2798 0.8102 0.8857
S6 S 0.6855 0.8680 0.6811
S7 S 0.3680 0.1855 0.1811
S8 S 0.1811 0.3680 0.1855
S9 S 0.3102 0.7798 0.3857
S10 S 0.1331 0.8557 0.5892
S11 S 0.7970 0.0876 0.1133
S12 S 0.2970 0.6133 0.5876
S13 S 0.0892 0.3557 0.6331
S14 S 0.8857 0.2798 0.8102
S15 S 0.8680 0.6811 0.6855
S16 S 0.6133 0.5876 0.2970
S17 S 0.8102 0.8857 0.2798
S18 S 0.5876 0.2970 0.6133
S19 S 0.5892 0.1331 0.8557
S20 S 0.8557 0.5892 0.1331
S21 S 0.6331 0.0892 0.3557
S22 S 0.1133 0.7970 0.0876
S23 S 0.0876 0.1133 0.7970
S24 S 0.6811 0.6855 0.8680
Sm1 Sm 0.9378 0.4754 0.7159
Sm2 Sm 0.4754 0.7159 0.9378
Sm3 Sm 0.9953 0.9953 0.9953
Sm4 Sm 0.9754 0.4378 0.2159
Sm5 Sm 0.2159 0.9754 0.4378
Sm6 Sm 0.4953 0.4953 0.4953
Sm7 Sm 0.7159 0.9378 0.4754
Sm8 Sm 0.4378 0.2159 0.9754
```

---

No. 5
This record from Materials Project describes a relaxed UGeS crystal. The functional is meta-GGA r2SCAN.

Uncorrected energy (eV/cell): -211.062
Calculated volume (Å³ per cell): 126.3
E_form (eV per atom): -1.228

```
data_UGeS
_cell_length_a 3.8453
_cell_length_b 3.8453
_cell_length_c 8.5425
_cell_angle_alpha 90.00
_cell_angle_beta 90.00
_cell_angle_gamma 90.00
_symmetry_space_group_name_H-M 'P 1'
_symmetry_Int_Tables_number 1
loop_
_symmetry_equiv_pos_as_xyz
'x,y,z'
loop_
_atom_site_label
_atom_site_type_symbol
_atom_site_fract_x
_atom_site_fract_y
_atom_site_fract_z
U1 U 0.0000 0.5000 0.7126
U2 U 0.5000 0.0000 0.2874
S1 S 0.5000 0.0000 0.6300
S2 S 0.0000 0.5000 0.3700
Ge1 Ge 0.0000 0.0000 0.0000
Ge2 Ge 0.5000 0.5000 0.0000
```

---

No. 6
This record from Materials Project describes a relaxed V4GeS8 crystal. The functional is meta-GGA r2SCAN.

Uncorrected energy (eV/cell): -147.645
Calculated volume (Å³ per cell): 232.7
Offset from the most stable computed form (kcal/mol of atoms): 0.00
E_form (eV per atom): -1.011

```
data_V4GeS8
_cell_length_a 6.9262
_cell_length_b 6.8831
_cell_length_c 6.9261
_cell_angle_alpha 120.21
_cell_angle_beta 120.00
_cell_angle_gamma 90.00
_symmetry_space_group_name_H-M 'P 1'
_symmetry_Int_Tables_number 1
loop_
_symmetry_equiv_pos_as_xyz
'x,y,z'
loop_
_atom_site_label
_atom_site_type_symbol
_atom_site_fract_x
_atom_site_fract_y
_atom_site_fract_z
V1 V 0.3932 0.1823 0.7891
V2 V 0.3900 0.6004 0.2104
V3 V 0.8176 0.6006 0.2105
V4 V 0.3901 0.6008 0.7831
S1 S 0.6239 0.8748 0.2509
S2 S 0.1337 0.8659 0.2702
S3 S 0.1324 0.4000 0.2677
S4 S 0.5958 0.8660 0.7322
S5 S 0.1156 0.3781 0.7482
S6 S 0.1338 0.8661 0.7324
S7 S 0.6299 0.3781 0.2625
S8 S 0.6299 0.3781 0.7482
Ge1 Ge 0.9960 0.9906 0.9947
```

---

No. 7
This record from Materials Project describes a relaxed V4GeS8 crystal. The functional is meta-GGA r2SCAN.

Uncorrected energy (eV/cell): -147.517
Calculated volume (Å³ per cell): 227.6
Offset from the most stable computed form (kcal/mol of atoms): 0.23
E_form (eV per atom): -1.001

```
data_V4GeS8
_cell_length_a 6.8598
_cell_length_b 6.8579
_cell_length_c 6.8424
_cell_angle_alpha 60.09
_cell_angle_beta 60.07
_cell_angle_gamma 59.84
_symmetry_space_group_name_H-M 'P 1'
_symmetry_Int_Tables_number 1
loop_
_symmetry_equiv_pos_as_xyz
'x,y,z'
loop_
_atom_site_label
_atom_site_type_symbol
_atom_site_fract_x
_atom_site_fract_y
_atom_site_fract_z
S1 S 0.8642 0.4055 0.8653
S2 S 0.8650 0.8653 0.4055
S3 S 0.8652 0.8651 0.8642
S4 S 0.4055 0.8642 0.8650
S5 S 0.8864 0.3772 0.3694
S6 S 0.3772 0.8865 0.3671
S7 S 0.3671 0.3693 0.3772
S8 S 0.3694 0.3670 0.8864
Ge1 Ge 0.0000 0.0000 0.0000
V1 V 0.1897 0.6068 0.6025
V2 V 0.6025 0.6010 0.1897
V3 V 0.6067 0.1898 0.6010
V4 V 0.6010 0.6024 0.6067
```

---

No. 8
This record from Materials Project describes a relaxed ZrGeS crystal. The functional is meta-GGA r2SCAN.

Uncorrected energy (eV/cell): -97.132
Calculated volume (Å³ per cell): 106.9
E_form (eV per atom): -1.303

```
data_ZrGeS
_cell_length_a 3.6387
_cell_length_b 3.6387
_cell_length_c 8.0726
_cell_angle_alpha 90.00
_cell_angle_beta 90.00
_cell_angle_gamma 90.00
_symmetry_space_group_name_H-M 'P 1'
_symmetry_Int_Tables_number 1
loop_
_symmetry_equiv_pos_as_xyz
'x,y,z'
loop_
_atom_site_label
_atom_site_type_symbol
_atom_site_fract_x
_atom_site_fract_y
_atom_site_fract_z
S1 S 0.7500 0.7500 0.3786
S2 S 0.2500 0.2500 0.6214
Ge1 Ge 0.2500 0.7500 0.0000
Ge2 Ge 0.7500 0.2500 0.0000
Zr1 Zr 0.2500 0.2500 0.2748
Zr2 Zr 0.7500 0.7500 0.7252
```

---

No. 9
This record from Materials Project describes a relaxed GeSb4Te7 crystal. The functional is meta-GGA r2SCAN.

Uncorrected energy (eV/cell): -295.962
Calculated volume (Å³ per cell): 392.6
E_form (eV per atom): -0.112

```
data_GeSb4Te7
_cell_length_a 4.2893
_cell_length_b 4.2893
_cell_length_c 24.6378
_cell_angle_alpha 90.00
_cell_angle_beta 90.00
_cell_angle_gamma 120.00
_symmetry_space_group_name_H-M 'P 1'
_symmetry_Int_Tables_number 1
loop_
_symmetry_equiv_pos_as_xyz
'x,y,z'
loop_
_atom_site_label
_atom_site_type_symbol
_atom_site_fract_x
_atom_site_fract_y
_atom_site_fract_z
Te1 Te 0.0000 0.0000 0.0000
Te2 Te 0.6667 0.3333 0.4314
Te3 Te 0.0000 0.0000 0.7190
Te4 Te 0.3333 0.6667 0.8497
Te5 Te 0.6667 0.3333 0.1503
Te6 Te 0.0000 0.0000 0.2810
Te7 Te 0.3333 0.6667 0.5686
Sb1 Sb 0.6667 0.3333 0.6502
Sb2 Sb 0.6667 0.3333 0.9189
Sb3 Sb 0.3333 0.6667 0.0811
Sb4 Sb 0.3333 0.6667 0.3498
Ge1 Ge 0.0000 0.0000 0.5000
```

---

No. 10
This record from Materials Project describes a relaxed TiGeSb crystal. The functional is meta-GGA r2SCAN.

Uncorrected energy (eV/cell): -107.661
Calculated volume (Å³ per cell): 113.0
E_form (eV per atom): -0.438

```
data_TiGeSb
_cell_length_a 3.6999
_cell_length_b 3.6999
_cell_length_c 8.2551
_cell_angle_alpha 90.00
_cell_angle_beta 90.00
_cell_angle_gamma 90.00
_symmetry_space_group_name_H-M 'P 1'
_symmetry_Int_Tables_number 1
loop_
_symmetry_equiv_pos_as_xyz
'x,y,z'
loop_
_atom_site_label
_atom_site_type_symbol
_atom_site_fract_x
_atom_site_fract_y
_atom_site_fract_z
Ge1 Ge 0.0000 0.0000 0.0000
Ge2 Ge 0.5000 0.5000 0.0000
Ti1 Ti 0.0000 0.5000 0.7529
Ti2 Ti 0.5000 0.0000 0.2471
Sb1 Sb 0.5000 0.0000 0.6165
Sb2 Sb 0.0000 0.5000 0.3835
```

---

No. 11
This record from Materials Project describes a relaxed Tm5Ge2Sb2 crystal. The functional is meta-GGA r2SCAN.

Uncorrected energy (eV/cell): -529.182
Calculated volume (Å³ per cell): 453.5
E_form (eV per atom): -1.092

```
data_Tm5Ge2Sb2
_cell_length_a 8.3864
_cell_length_b 8.3864
_cell_length_c 7.8268
_cell_angle_alpha 90.00
_cell_angle_beta 90.00
_cell_angle_gamma 124.53
_symmetry_space_group_name_H-M 'P 1'
_symmetry_Int_Tables_number 1
loop_
_symmetry_equiv_pos_as_xyz
'x,y,z'
loop_
_atom_site_label
_atom_site_type_symbol
_atom_site_fract_x
_atom_site_fract_y
_atom_site_fract_z
Tm1 Tm 0.9652 0.7143 0.6603
Tm2 Tm 0.5000 0.5000 0.5000
Tm3 Tm 0.0000 0.0000 0.0000
Tm4 Tm 0.7143 0.9652 0.6603
Tm5 Tm 0.4652 0.2143 0.8397
Tm6 Tm 0.7857 0.5348 0.1603
Tm7 Tm 0.2143 0.4652 0.8397
Tm8 Tm 0.0348 0.2857 0.3397
Tm9 Tm 0.5348 0.7857 0.1603
Tm10 Tm 0.2857 0.0348 0.3397
Ge1 Ge 0.1438 0.1438 0.6423
Ge2 Ge 0.8562 0.8562 0.3577
Ge3 Ge 0.6438 0.6438 0.8577
Ge4 Ge 0.3562 0.3562 0.1423
Sb1 Sb 0.2043 0.7957 0.0000
Sb2 Sb 0.2957 0.7043 0.5000
Sb3 Sb 0.7957 0.2043 0.0000
Sb4 Sb 0.7043 0.2957 0.5000
```

---

No. 12
This record from Materials Project describes a relaxed ZrGeSb crystal. The functional is meta-GGA r2SCAN.

Uncorrected energy (eV/cell): -128.544
Calculated volume (Å³ per cell): 127.3
E_form (eV per atom): -0.648

```
data_ZrGeSb
_cell_length_a 3.8216
_cell_length_b 3.8216
_cell_length_c 8.7152
_cell_angle_alpha 90.00
_cell_angle_beta 90.00
_cell_angle_gamma 90.00
_symmetry_space_group_name_H-M 'P 1'
_symmetry_Int_Tables_number 1
loop_
_symmetry_equiv_pos_as_xyz
'x,y,z'
loop_
_atom_site_label
_atom_site_type_symbol
_atom_site_fract_x
_atom_site_fract_y
_atom_site_fract_z
Ge1 Ge 0.7500 0.2500 0.0000
Ge2 Ge 0.2500 0.7500 0.0000
Sb1 Sb 0.7500 0.7500 0.3883
Sb2 Sb 0.2500 0.2500 0.6117
Zr1 Zr 0.2500 0.2500 0.2494
Zr2 Zr 0.7500 0.7500 0.7506
```

---

Copy entry 7 word for word.
This record from Materials Project describes a relaxed V4GeS8 crystal. The functional is meta-GGA r2SCAN.

Uncorrected energy (eV/cell): -147.517
Calculated volume (Å³ per cell): 227.6
Offset from the most stable computed form (kcal/mol of atoms): 0.23
E_form (eV per atom): -1.001

```
data_V4GeS8
_cell_length_a 6.8598
_cell_length_b 6.8579
_cell_length_c 6.8424
_cell_angle_alpha 60.09
_cell_angle_beta 60.07
_cell_angle_gamma 59.84
_symmetry_space_group_name_H-M 'P 1'
_symmetry_Int_Tables_number 1
loop_
_symmetry_equiv_pos_as_xyz
'x,y,z'
loop_
_atom_site_label
_atom_site_type_symbol
_atom_site_fract_x
_atom_site_fract_y
_atom_site_fract_z
S1 S 0.8642 0.4055 0.8653
S2 S 0.8650 0.8653 0.4055
S3 S 0.8652 0.8651 0.8642
S4 S 0.4055 0.8642 0.8650
S5 S 0.8864 0.3772 0.3694
S6 S 0.3772 0.8865 0.3671
S7 S 0.3671 0.3693 0.3772
S8 S 0.3694 0.3670 0.8864
Ge1 Ge 0.0000 0.0000 0.0000
V1 V 0.1897 0.6068 0.6025
V2 V 0.6025 0.6010 0.1897
V3 V 0.6067 0.1898 0.6010
V4 V 0.6010 0.6024 0.6067
```

---

Q: Among the records above, which one has the lowest calculated volume?
A: YbGe2Ru2

---

Q: Which of these has the highest E_form?
A: GeSb4Te7